# 1
This record from the Materials Project database describes SrCu2O3 after structural relaxation. The functional is PBE.

Summary:
excess energy over the best structure of this formula in the dataset = 10 meV/atom

extended XYZ file:
```
12
Lattice="4.071 0.000 0.000 0.000 10.912 0.000 0.000 0.000 3.728" Properties=species:S:1:pos:R:3 pbc="T T T"
Sr 1.018 2.728 0.497
Sr 3.053 8.184 3.230
Cu 1.018 6.384 1.473
Cu 1.018 9.984 1.473
Cu 3.053 0.928 2.255
Cu 3.053 4.528 2.255
O 1.018 0.835 2.180
O 1.018 4.621 2.180
O 1.018 8.184 0.856
O 3.053 2.728 2.872
O 3.053 6.291 1.547
O 3.053 10.077 1.547
```

# 2
This record from the Materials Project database describes LiCuF4 after structural relaxation. The functional is PBE.

extended XYZ file:
```
36
Lattice="6.802 0.000 0.000 -1.562 7.797 0.000 -2.695 -2.115 9.280" Properties=species:S:1:pos:R:3 pbc="T T T"
Li -1.683 7.133 2.901
Li 0.937 3.807 0.239
Li -0.241 3.888 5.344
Li 2.786 1.795 3.936
Li 1.608 1.875 9.041
Li 4.227 -1.450 6.379
Cu -2.721 2.828 6.460
Cu -2.290 5.622 8.370
Cu 0.572 0.416 6.475
Cu 1.973 5.266 2.805
Cu 4.835 0.060 0.910
Cu 5.266 2.854 2.820
F -2.328 0.709 6.649
F -3.004 5.085 6.496
F -0.255 3.118 1.518
F -1.343 3.170 4.873
F 0.925 0.025 0.870
F -2.208 3.424 8.265
F 0.178 0.112 4.681
F -0.821 -0.029 8.144
F -1.061 5.693 6.803
F 0.196 2.575 6.665
F 1.641 5.229 0.914
F 0.668 5.139 4.032
F 1.877 0.544 5.248
F 0.904 0.453 8.365
F 2.349 3.107 2.615
F 3.606 -0.011 2.477
F 3.366 5.711 1.136
F 2.367 5.570 4.599
F 4.753 2.258 1.015
F 1.620 5.657 8.410
F 3.888 2.512 4.407
F 2.800 2.564 7.762
F 5.549 0.597 2.783
F 4.873 4.974 2.631
```

# 3
This record from the Materials Project database describes La3Co2Sn7 after structural relaxation. The functional is PBE.

extended XYZ file:
```
12
Lattice="2.324 -13.887 0.000 2.324 13.887 0.000 0.000 0.000 4.645" Properties=species:S:1:pos:R:3 pbc="T T T"
La 0.000 0.000 0.000
La 2.324 5.126 2.322
La 2.324 -5.126 2.322
Co 2.324 10.352 0.000
Co 2.324 -10.352 0.000
Sn 2.324 11.383 2.322
Sn 2.324 7.850 0.000
Sn 2.324 2.508 0.000
Sn 2.324 0.000 2.322
Sn 2.324 -2.508 0.000
Sn 2.324 -7.850 0.000
Sn 2.324 -11.383 2.322
```

# 4
This record from the Materials Project database describes Rb2LiS2 after structural relaxation. The functional is PBE.

extended XYZ file:
```
5
Lattice="5.351 0.000 0.000 0.000 5.351 0.000 0.000 0.000 14.957" Properties=species:S:1:pos:R:3 pbc="T T T"
Rb 0.000 0.000 2.268
Rb 0.000 0.000 12.689
Li 0.000 0.000 7.478
S 0.000 0.000 5.175
S 0.000 0.000 9.782
```

# 5
This record from the Materials Project database describes Hg3AsSe4Br after structural relaxation. The functional is PBE.

Summary:
largest piezoelectric modulus = 0.3 C/m²

extended XYZ file:
```
18
Lattice="7.877 0.000 0.000 -3.938 6.822 0.000 0.000 0.000 10.350" Properties=species:S:1:pos:R:3 pbc="T T T"
Hg -1.965 3.413 0.000
Hg 3.938 0.004 5.175
Hg 1.965 3.413 0.000
Hg 1.973 3.409 5.175
Hg 0.000 6.817 0.000
Hg 5.904 3.409 5.175
As 0.000 0.000 5.121
As 0.000 0.000 10.296
Se 0.000 2.060 6.437
Se -2.154 5.791 6.437
Se 1.784 1.030 1.262
Se 0.000 4.548 9.032
Se 3.938 2.274 3.857
Se 2.154 5.791 6.437
Se 6.093 1.030 1.262
Se 3.938 4.761 1.262
Br 0.000 4.548 3.150
Br 3.938 2.274 8.324
```

| no. | formation enthalpy at 0 K (meV/atom) | DFT total energy (eV per cell) |
| --- | --- | --- |
| 1 | -1673 | -65.415 |
| 2 | -1553 | -126.814 |
| 3 | -575 | -63.992 |
| 4 | -130 | -11.789 |
| 5 | -305 | -46.811 |